This record from Materials Project describes crystalline GaMo3S6 at its relaxed geometry. The functional is GGA-PBE.

abc: 7.0195 21.0370 9.9234
angles: 90.00 90.00 90.00
Space group Imm2 (No. 44)
One atom of each set of equivalent atoms:
Ga 0.0000 0.0000 0.0000 (multiplicity 2)
Ga 0.0000 0.1671 0.2521 (multiplicity 4)
Ga 0.0000 0.5000 0.2502 (multiplicity 2)
Mo 0.0000 0.1000 0.6451 (multiplicity 4)
Mo 0.0000 0.2340 0.6509 (multiplicity 4)
Mo 0.0000 0.4291 0.6520 (multiplicity 4)
Mo 0.2008 0.5000 0.8588 (multiplicity 4)
Mo 0.2069 0.1690 0.8517 (multiplicity 8)
S 0.0000 0.0761 0.3871 (multiplicity 4)
S 0.0000 0.0852 0.8742 (multiplicity 4)
S 0.0000 0.2560 0.8840 (multiplicity 4)
S 0.0000 0.2565 0.3879 (multiplicity 4)
S 0.0000 0.4090 0.3873 (multiplicity 4)
S 0.0000 0.4108 0.8871 (multiplicity 4)
S 0.2282 0.0000 0.6154 (multiplicity 4)
S 0.2283 0.3326 0.6159 (multiplicity 8)
S 0.2337 0.3328 0.1178 (multiplicity 8)
S 0.2479 0.5000 0.6297 (multiplicity 4)

Summary:
Energy of formation from the pure elements = -1.022 eV per atom
Total DFT energy (no corrections) = -6.758 eV/atom
M_tot = 0.00 μB per formula unit